[1]
Material: ErAlPt
Method: DFT, meta-GGA r2SCAN
State: relaxed

a b c (Å): 6.8312 4.3706 7.6834
angles (deg): 90.00 90.00 90.00
Space group Pnma (No. 62)
Inequivalent atoms, fractional coordinates:
Er 0.0280 0.2500 0.1812
Al 0.1440 0.2500 0.5639
Pt 0.2288 0.7500 0.3831

Summary:
Calculated total energy = -31.998 eV per atom
Formation energy from the elements = -1.2830 eV/atom
Calculated volume = 19.1 A^3/atom

***

[2]
Material: Hg
Method: DFT, meta-GGA r2SCAN
State: relaxed

a b c (Å): 5.8595 5.8595 3.1451
angles (deg): 90.00 90.00 90.00
Space group I4_1/amd (No. 141, origin choice 2)
Inequivalent atoms, fractional coordinates:
Hg 0.0000 0.2500 0.3750

Summary:
Calculated total energy = -49.357 eV per atom
Energy above the most stable polymorph in this dataset = 10.9 meV/atom
Formation energy from the elements = 0.0109 eV/atom
Calculated volume = 27.0 A^3/atom

***

[3]
Material: SmCdAu
Method: DFT, meta-GGA r2SCAN
State: relaxed

a b c (Å): 7.7430 7.7430 4.0737
angles (deg): 90.00 90.00 120.00
Space group P-62m (No. 189)
Inequivalent atoms, fractional coordinates:
Sm 0.0000 0.5924 0.0000
Cd 0.0000 0.2543 0.5000
Au 0.0000 0.0000 0.0000
Au 0.3333 0.6667 0.5000

Summary:
Calculated total energy = -34.209 eV per atom
Formation energy from the elements = -0.7348 eV/atom
Calculated volume = 23.5 A^3/atom

***

[4]
Material: ZnCu2
Method: DFT, meta-GGA r2SCAN
State: relaxed

a b c (Å): 2.5838 2.5838 6.2934
angles (deg): 90.00 90.00 120.00
Space group P-3m1 (No. 164)
Inequivalent atoms, fractional coordinates:
Zn 0.0000 0.0000 0.0000
Cu 0.3333 0.6667 0.6621

Summary:
Calculated total energy = -10.234 eV per atom
Formation energy from the elements = -0.0324 eV/atom
Calculated volume = 12.1 A^3/atom

***

[5]
Material: Er5S7
Method: DFT, meta-GGA r2SCAN
State: relaxed

a b c (Å): 12.6661 3.7532 11.4865
angles (deg): 90.00 104.56 90.00
Space group C2/m (No. 12)
Inequivalent atoms, fractional coordinates:
Er 0.0000 0.0000 0.0000
Er 0.1114 0.0000 0.4215
Er 0.1999 0.5000 0.8125
S 0.0000 0.5000 0.5000
S 0.0412 0.0000 0.7852
S 0.1589 0.5000 0.0513
S 0.2410 0.5000 0.3530

Summary:
Calculated total energy = -21.180 eV per atom
Formation energy from the elements = -2.3576 eV/atom
Calculated volume = 22.0 A^3/atom

***

[6]
Material: NdAg2
Method: DFT, meta-GGA r2SCAN
State: relaxed

a b c (Å): 4.7952 4.7952 3.5092
angles (deg): 90.00 90.00 120.00
Space group P6/mmm (No. 191)
Inequivalent atoms, fractional coordinates:
Nd 0.0000 0.0000 0.0000
Ag 0.3333 0.6667 0.5000

Summary:
Calculated total energy = -24.319 eV per atom
Formation energy from the elements = -0.2756 eV/atom
Calculated volume = 23.3 A^3/atom